No. 1
# TbPPt (PBE, relaxed)
data_TbPPt
_chemical_formula_sum 'Tb1 P1 Pt1'
_symmetry_space_group_name_H-M 'P -6 m 2'
_symmetry_Int_Tables_number 187
_symmetry_space_group_name_Hall 'P -6 2'
_cell_length_a 4.1437
_cell_length_b 4.1437
_cell_length_c 3.9037
_cell_angle_alpha 90.00
_cell_angle_beta 90.00
_cell_angle_gamma 120.00
loop_
_atom_site_label
_atom_site_fract_x
_atom_site_fract_y
_atom_site_fract_z
Tb1 0.0000 0.0000 0.0000
P1 0.6667 0.3333 0.5000
Pt1 0.3333 0.6667 0.5000
# DFT formation energy = -1353 meV/atom

=====

No. 2
# TlPPt5 (PBE, relaxed)
data_TlPPt5
_chemical_formula_sum 'Tl1 P1 Pt5'
_symmetry_space_group_name_H-M 'P 4/m m m'
_symmetry_Int_Tables_number 123
_symmetry_space_group_name_Hall '-P 4 2'
_cell_length_a 4.0185
_cell_length_b 4.0185
_cell_length_c 7.1871
_cell_angle_alpha 90.00
_cell_angle_beta 90.00
_cell_angle_gamma 90.00
loop_
_atom_site_label
_atom_site_fract_x
_atom_site_fract_y
_atom_site_fract_z
Tl1 0.0000 0.0000 0.0000
P1 0.5000 0.5000 0.5000
Pt1 0.0000 0.5000 0.3023
Pt2 0.5000 0.5000 0.0000
# DFT formation energy = -230 meV/atom

=====

No. 3
# YPPt (PBE, relaxed)
data_YPPt
_chemical_formula_sum 'Y1 P1 Pt1'
_symmetry_space_group_name_H-M 'P -6 m 2'
_symmetry_Int_Tables_number 187
_symmetry_space_group_name_Hall 'P -6 2'
_cell_length_a 4.1323
_cell_length_b 4.1323
_cell_length_c 3.9149
_cell_angle_alpha 90.00
_cell_angle_beta 90.00
_cell_angle_gamma 120.00
loop_
_atom_site_label
_atom_site_fract_x
_atom_site_fract_y
_atom_site_fract_z
Y1 0.0000 0.0000 0.0000
P1 0.6667 0.3333 0.5000
Pt1 0.3333 0.6667 0.5000
# DFT formation energy = -1352 meV/atom

=====

- Number 2 is which compound?
  TlPPt5